# 1
Density functional theory data (PBE) for a relaxed structure of AsPd6Pb.

Summary:
Calculated total energy = -41.23 eV per cell

Cell: 7.8302 7.8302 7.8302 Å, 33.79 33.79 33.79°
Last column: nearest neighbours and their distance in Å.
Atoms (fractional coordinates):
As1 0.0000 0.0000 0.0000  8 Pd 2.56-2.73
Pd1 0.1159 0.1159 0.1159  1 As 2.56, 4 Pd 2.69-2.84, 3 Pb 2.86
Pd2 0.2443 0.2443 0.2443  8 Pd 2.69-2.90
Pd3 0.3672 0.3672 0.3672  7 Pd 2.72-3.02, 3 As 2.73, 1 Pb 2.94
Pd4 0.6328 0.6328 0.6328  7 Pd 2.72-3.02, 3 As 2.73, 1 Pb 2.94
Pd5 0.7557 0.7557 0.7557  8 Pd 2.69-2.90
Pd6 0.8841 0.8841 0.8841  1 As 2.56, 4 Pd 2.69-2.84, 3 Pb 2.86
Pb1 0.5000 0.5000 0.5000  14 Pd 2.86-3.14

=====

# 2
Density functional theory data (PBE) for a relaxed structure of Sr2PrGaO5.

Summary:
Calculated total energy = -120.26 eV per cell

Cell: 7.4895 7.4792 6.8574 Å, 62.81 62.66 54.53°
Last column: nearest neighbours and their distance in Å.
Atoms (fractional coordinates):
Sr1 0.1745 0.8255 0.8255  4 O 2.41-2.54
Sr2 0.2500 0.2500 0.2500  10 O 2.85-2.92
Sr3 0.7500 0.7500 0.7500  10 O 2.85-2.92
Sr4 0.8255 0.1745 0.1745  4 O 2.41-2.54
Pr1 0.3211 0.6789 0.3211  4 O 2.35-2.52
Pr2 0.6789 0.3211 0.6789  4 O 2.35-2.52
Ga1 0.2477 0.2477 0.7523  4 O 1.85-1.86
Ga2 0.7523 0.7523 0.2477  4 O 1.85-1.86
O1 0.0000 0.0000 0.5000  2 Pr 2.52, 2 Sr 2.54
O2 0.0039 0.7064 0.2936  1 Ga 1.86
O3 0.2172 0.4986 0.7828  1 Ga 1.85
O4 0.2936 0.9961 0.0039  1 Ga 1.86
O5 0.4986 0.2172 0.5014  1 Ga 1.85
O6 0.5000 0.5000 0.0000  2 Pr 2.52, 2 Sr 2.54
O7 0.5014 0.7828 0.4986  1 Ga 1.85
O8 0.7064 0.0039 0.9961  1 Ga 1.86
O9 0.7828 0.5014 0.2172  1 Ga 1.85
O10 0.9961 0.2936 0.7064  1 Ga 1.86

=====

# 3
Density functional theory data (PBE) for a relaxed structure of RbUAgS3.

Summary:
Calculated total energy = -68.46 eV per cell

Cell: 7.7245 7.7245 10.5350 Å, 90.00 90.00 149.07°
Last column: nearest neighbours and their distance in Å.
Atoms (fractional coordinates):
Rb1 0.2380 0.7620 0.7500  8 S 3.40-3.72, 2 Ag 3.81
Rb2 0.7620 0.2380 0.2500  8 S 3.40-3.72, 2 Ag 3.81
U1 0.5000 0.5000 0.0000  6 S 2.74-2.76
U2 0.5000 0.5000 0.5000  6 S 2.74-2.76
Ag1 0.0470 0.9530 0.2500  4 S 2.48-2.57
Ag2 0.9530 0.0470 0.7500  4 S 2.48-2.57
S1 0.1188 0.8812 0.0371  1 Ag 2.48, 2 U 2.74
S2 0.1188 0.8812 0.4629  1 Ag 2.48, 2 U 2.74
S3 0.4437 0.5563 0.2500  2 Ag 2.57, 2 U 2.76
S4 0.5563 0.4437 0.7500  2 Ag 2.57, 2 U 2.76
S5 0.8812 0.1188 0.5371  1 Ag 2.48, 2 U 2.74
S6 0.8812 0.1188 0.9629  1 Ag 2.48, 2 U 2.74

=====

# 4
Density functional theory data (PBE) for a relaxed structure of SbS2O9.

Summary:
Calculated total energy = -526.36 eV per cell

Cell: 13.7962 11.0809 9.2868 Å, 90.00 90.00 90.00°
Last column: nearest neighbours and their distance in Å.
Atoms (fractional coordinates):
Sb1 0.0082 0.0161 0.0000  3 O 2.06-2.19
Sb2 0.2180 0.7380 0.8267  4 O 2.06-2.28
Sb3 0.2820 0.7380 0.3267  4 O 2.06-2.28
Sb4 0.4918 0.0161 0.5000  3 O 2.06-2.19
Sb5 0.5082 0.9839 0.0000  3 O 2.06-2.19
Sb6 0.7180 0.2620 0.8267  4 O 2.06-2.28
Sb7 0.7820 0.2620 0.3267  4 O 2.06-2.28
Sb8 0.9918 0.9839 0.5000  3 O 2.06-2.19
S1 0.0119 0.2255 0.2658  4 O 1.47-1.53
S2 0.0298 0.7606 0.2743  4 O 1.46-1.55
S3 0.2193 0.0102 0.1505  4 O 1.45-1.57
S4 0.2306 0.5294 0.0700  4 O 1.44-1.57
S5 0.2694 0.5294 0.5700  4 O 1.44-1.57
S6 0.2807 0.0102 0.6505  4 O 1.45-1.57
S7 0.4702 0.7606 0.7743  4 O 1.46-1.55
S8 0.4881 0.2255 0.7658  4 O 1.47-1.53
S9 0.5119 0.7745 0.2658  4 O 1.47-1.53
S10 0.5298 0.2394 0.2743  4 O 1.46-1.55
S11 0.7193 0.9898 0.1505  4 O 1.45-1.57
S12 0.7306 0.4706 0.0700  4 O 1.44-1.57
S13 0.7694 0.4706 0.5700  4 O 1.44-1.57
S14 0.7807 0.9898 0.6505  4 O 1.45-1.57
S15 0.9702 0.2394 0.7743  4 O 1.46-1.55
S16 0.9881 0.7745 0.7658  4 O 1.47-1.53
O1 0.0038 0.4772 0.9777  2 O 2.23-2.25
O2 0.0256 0.3530 0.7894  1 S 1.48
O3 0.0328 0.1337 0.8317  1 S 1.55
O4 0.0374 0.8868 0.8276  1 S 1.53
O5 0.0394 0.1970 0.1147  1 S 1.49
O6 0.0494 0.7880 0.1229  1 S 1.46
O7 0.0665 0.6795 0.7650  1 S 1.51
O8 0.0948 0.2661 0.3520  1 S 1.47
O9 0.1194 0.7568 0.3659  1 S 1.50
O10 0.1361 0.4800 0.1160  1 S 1.48
O11 0.1564 0.0102 0.2755  1 S 1.45
O12 0.1573 0.0077 0.0093  1 S 1.57
O13 0.1883 0.4530 0.6056  1 S 1.44
O14 0.2167 0.1193 0.6389  1 S 1.50
O15 0.2171 0.9023 0.6401  1 S 1.49
O16 0.2275 0.5586 0.9094  1 S 1.53
O17 0.2438 0.6593 0.1340  1 S 1.57
O18 0.2462 0.2670 0.2694  2 O 2.10-2.23
O19 0.2538 0.2670 0.7694  2 O 2.10-2.23
O20 0.2562 0.6593 0.6340  1 S 1.57
O21 0.2725 0.5586 0.4094  1 S 1.53
O22 0.2833 0.1193 0.1389  1 S 1.50
O23 0.2829 0.9023 0.1401  1 S 1.49
O24 0.3117 0.4530 0.1056  1 S 1.44
O25 0.3427 0.0077 0.5093  1 S 1.57
O26 0.3436 0.0102 0.7755  1 S 1.45
O27 0.3639 0.4800 0.6160  1 S 1.48
O28 0.3806 0.7568 0.8659  1 S 1.50
O29 0.4052 0.2661 0.8520  1 S 1.47
O30 0.4335 0.6795 0.2650  1 S 1.51
O31 0.4506 0.7880 0.6229  1 S 1.46
O32 0.4606 0.1970 0.6147  1 S 1.49
O33 0.4626 0.8868 0.3276  1 S 1.53
O34 0.4672 0.1337 0.3317  1 S 1.55
O35 0.4744 0.3530 0.2894  1 S 1.48
O36 0.4962 0.4772 0.4777  2 O 2.23-2.25
O37 0.5038 0.5228 0.9777  2 O 2.23-2.25
O38 0.5256 0.6470 0.7894  1 S 1.48
O39 0.5328 0.8663 0.8317  1 S 1.55
O40 0.5374 0.1132 0.8276  1 S 1.53
O41 0.5394 0.8030 0.1147  1 S 1.49
O42 0.5494 0.2120 0.1229  1 S 1.46
O43 0.5665 0.3205 0.7650  1 S 1.51
O44 0.5948 0.7339 0.3520  1 S 1.47
O45 0.6194 0.2432 0.3659  1 S 1.50
O46 0.6361 0.5200 0.1160  1 S 1.48
O47 0.6564 0.9898 0.2755  1 S 1.45
O48 0.6573 0.9923 0.0093  1 S 1.57
O49 0.6883 0.5470 0.6056  1 S 1.44
O50 0.7171 0.0977 0.6401  1 S 1.49
O51 0.7167 0.8807 0.6389  1 S 1.50
O52 0.7275 0.4414 0.9094  1 S 1.53
O53 0.7438 0.3407 0.1340  1 S 1.57
O54 0.7462 0.7330 0.2694  2 O 2.10-2.23
O55 0.7538 0.7330 0.7694  2 O 2.10-2.23
O56 0.7562 0.3407 0.6340  1 S 1.57
O57 0.7725 0.4414 0.4094  1 S 1.53
O58 0.7829 0.0977 0.1401  1 S 1.49
O59 0.7833 0.8807 0.1389  1 S 1.50
O60 0.8117 0.5470 0.1056  1 S 1.44
O61 0.8427 0.9923 0.5093  1 S 1.57
O62 0.8436 0.9898 0.7755  1 S 1.45
O63 0.8639 0.5200 0.6160  1 S 1.48
O64 0.8806 0.2432 0.8659  1 S 1.50
O65 0.9052 0.7339 0.8520  1 S 1.47
O66 0.9335 0.3205 0.2650  1 S 1.51
O67 0.9506 0.2120 0.6229  1 S 1.46
O68 0.9606 0.8030 0.6147  1 S 1.49
O69 0.9626 0.1132 0.3276  1 S 1.53
O70 0.9672 0.8663 0.3317  1 S 1.55
O71 0.9744 0.6470 0.2894  1 S 1.48
O72 0.9962 0.5228 0.4777  2 O 2.23-2.25